1.
VASP calculation (r2SCAN) on a relaxed InN crystal.

Unit cell a=3.5506 b=3.5506 c=5.7326 alpha=90.00 beta=90.00 gamma=120.00
Element x y z (fractional)
In 0.3333 0.6667 0.0000
In 0.6667 0.3333 0.5000
N 0.3333 0.6667 0.3790
N 0.6667 0.3333 0.8790

Its calculated density is 6.84 g cm⁻³. The energy comes out at -31.9 eV per formula unit. Its space-group type is No. 186. The excess energy over the best structure of this formula in the dataset comes out at 0.0 kJ/mol of atoms.

2.
VASP calculation (r2SCAN) on a relaxed VO2F crystal.

Unit cell a=12.8426 b=3.5680 c=4.2381 alpha=90.00 beta=90.00 gamma=90.00
Element x y z (fractional)
V 0.0909 0.2500 0.1090
V 0.4091 0.7500 0.6090
V 0.5909 0.2500 0.3910
V 0.9091 0.7500 0.8910
O 0.0611 0.7500 0.0035
O 0.0917 0.2500 0.4847
O 0.4083 0.7500 0.9847
O 0.4389 0.2500 0.5035
O 0.5611 0.7500 0.4965
O 0.5917 0.2500 0.0153
O 0.9083 0.7500 0.5153
O 0.9389 0.2500 0.9965
F 0.2217 0.2500 0.0024
F 0.2783 0.7500 0.5024
F 0.7217 0.2500 0.4976
F 0.7783 0.7500 0.9976

Its calculated density is 3.49 g cm⁻³. The energy comes out at -39.4 eV per formula unit. Its space-group type is No. 62.

3.
VASP calculation (r2SCAN) on a relaxed LaCoSi crystal.

Unit cell a=4.0611 b=4.0611 c=7.3043 alpha=90.00 beta=90.00 gamma=90.00
Element x y z (fractional)
La 0.2500 0.2500 0.1952
La 0.7500 0.7500 0.8048
Co 0.2500 0.7500 0.5000
Co 0.7500 0.2500 0.5000
Si 0.2500 0.2500 0.6540
Si 0.7500 0.7500 0.3460

Its calculated density is 6.23 g cm⁻³. The energy comes out at -53.7 eV per formula unit. Its space-group type is No. 129.

4.
VASP calculation (r2SCAN) on a relaxed LaB2Os2 crystal.

Unit cell a=6.8614 b=6.0676 c=5.6514 alpha=71.58 beta=57.03 gamma=51.39
Element x y z (fractional)
La 0.1250 0.1250 0.1250
La 0.8750 0.8750 0.8750
B 0.1941 0.5559 0.1941
B 0.4441 0.8059 0.4441
B 0.5559 0.1941 0.5559
B 0.8059 0.4441 0.8059
Os 0.2382 0.2382 0.5118
Os 0.4882 0.4882 0.7618
Os 0.5118 0.5118 0.2382
Os 0.7618 0.7618 0.4882

Its calculated density is 11.65 g cm⁻³. The energy comes out at -153.1 eV per formula unit. Its space-group type is No. 70.

5.
VASP calculation (r2SCAN) on a relaxed IrRh crystal.

Unit cell a=4.6866 b=4.6866 c=4.6866 alpha=33.60 beta=33.60 gamma=33.60
Element x y z (fractional)
Ir 0.0000 0.0000 0.0000
Rh 0.5000 0.5000 0.5000

Its calculated density is 17.46 g cm⁻³. The energy comes out at -76.5 eV per formula unit. Its space-group type is No. 166.

6.
VASP calculation (r2SCAN) on a relaxed NpPt crystal.

Unit cell a=5.7495 b=5.7495 c=4.3635 alpha=90.00 beta=90.00 gamma=139.98
Element x y z (fractional)
Np 0.1353 0.8647 0.7500
Np 0.8647 0.1353 0.2500
Pt 0.4056 0.5944 0.7500
Pt 0.5944 0.4056 0.2500

Its calculated density is 15.47 g cm⁻³. The energy comes out at -136.6 eV per formula unit. Its space-group type is No. 63.

7.
VASP calculation (r2SCAN) on a relaxed ErB7Mo3 crystal.

Unit cell a=10.9993 b=3.0907 c=12.8063 alpha=90.00 beta=90.00 gamma=90.00
Element x y z (fractional)
Er 0.0519 0.2500 0.1918
Er 0.4481 0.7500 0.6918
Er 0.5519 0.2500 0.3082
Er 0.9481 0.7500 0.8082
B 0.0107 0.7500 0.3617
B 0.0375 0.7500 0.0185
B 0.0677 0.7500 0.6161
B 0.1657 0.7500 0.3324
B 0.1859 0.7500 0.0670
B 0.2306 0.7500 0.5818
B 0.2495 0.7500 0.8265
B 0.2505 0.2500 0.3265
B 0.2694 0.2500 0.0818
B 0.3141 0.2500 0.5670
B 0.3343 0.2500 0.8324
B 0.4323 0.2500 0.1161
B 0.4625 0.2500 0.5185
B 0.4893 0.2500 0.8617
B 0.5107 0.7500 0.1383
B 0.5375 0.7500 0.4815
B 0.5677 0.7500 0.8839
B 0.6657 0.7500 0.1676
B 0.6859 0.7500 0.4330
B 0.7306 0.7500 0.9182
B 0.7495 0.7500 0.6735
B 0.7505 0.2500 0.1735
B 0.7694 0.2500 0.4182
B 0.8141 0.2500 0.9330
B 0.8343 0.2500 0.6676
B 0.9323 0.2500 0.3839
B 0.9625 0.2500 0.9815
B 0.9893 0.2500 0.6383
Mo 0.1178 0.2500 0.4730
Mo 0.1596 0.2500 0.9357
Mo 0.1842 0.2500 0.7020
Mo 0.3158 0.7500 0.2020
Mo 0.3404 0.7500 0.4357
Mo 0.3822 0.7500 0.9730
Mo 0.6178 0.2500 0.0270
Mo 0.6596 0.2500 0.5643
Mo 0.6842 0.2500 0.7980
Mo 0.8158 0.7500 0.2980
Mo 0.8404 0.7500 0.0643
Mo 0.8822 0.7500 0.5270

Its calculated density is 8.10 g cm⁻³. The energy comes out at -170.2 eV per formula unit. Its space-group type is No. 62.

8.
VASP calculation (r2SCAN) on a relaxed In3Te3I crystal.

Unit cell a=11.8794 b=4.3729 c=20.6991 alpha=90.00 beta=90.00 gamma=90.00
Element x y z (fractional)
In 0.0537 0.2500 0.1034
In 0.1565 0.2500 0.6319
In 0.1775 0.2500 0.9885
In 0.3225 0.7500 0.4885
In 0.3435 0.7500 0.1319
In 0.4463 0.7500 0.6034
In 0.5537 0.2500 0.3966
In 0.6565 0.2500 0.8681
In 0.6775 0.2500 0.5115
In 0.8225 0.7500 0.0115
In 0.8435 0.7500 0.3681
In 0.9463 0.7500 0.8966
Te 0.0890 0.2500 0.8607
Te 0.1652 0.2500 0.4955
Te 0.2363 0.2500 0.1945
Te 0.2637 0.7500 0.6945
Te 0.3348 0.7500 0.9955
Te 0.4110 0.7500 0.3607
Te 0.5890 0.2500 0.6393
Te 0.6652 0.2500 0.0045
Te 0.7363 0.2500 0.3055
Te 0.7637 0.7500 0.8055
Te 0.8348 0.7500 0.5045
Te 0.9110 0.7500 0.1393
I 0.0640 0.7500 0.3304
I 0.4360 0.2500 0.8304
I 0.5640 0.7500 0.1696
I 0.9360 0.2500 0.6696

Its calculated density is 5.28 g cm⁻³. The energy comes out at -172.2 eV per formula unit. Its space-group type is No. 62.

Question: Among the records above, which one has the highest energy?
Answer: InN

Question: The highest energy belongs to which entry?
Answer: InN

Question: What is the calculated density in the first record?
Answer: 6.84 g cm⁻³